EuCoO3: optimized geometry, GGA+U.

Geometry as CIF:
```
data_EuCoO3
_chemical_formula_sum 'Eu1 Co1 O3'
_symmetry_space_group_name_H-M 'P m -3 m'
_symmetry_Int_Tables_number 221
_symmetry_space_group_name_Hall '-P 4 2 3'
_cell_length_a 3.770
_cell_length_b 3.770
_cell_length_c 3.770
_cell_angle_alpha 90.00
_cell_angle_beta 90.00
_cell_angle_gamma 90.00
loop_
_atom_site_label
_atom_site_type_symbol
_atom_site_fract_x
_atom_site_fract_y
_atom_site_fract_z
_atom_site_occupancy
Eu1 Eu 0.000 0.000 0.000 1
Co1 Co 0.500 0.500 0.500 1
O1 O 0.000 0.500 0.500 1
```

## Properties
- energy of formation from the pure elements (eV per atom) = -2.07
- total magnetization (μB/cell) = 8.634

RbVPHO6: optimized geometry, GGA+U.

Geometry as CIF:
```
data_RbVPHO6
_chemical_formula_sum 'Rb8 V8 P8 H8 O48'
_symmetry_space_group_name_H-M 'P b c a'
_symmetry_Int_Tables_number 61
_cell_length_a 6.867
_cell_length_b 9.500
_cell_length_c 17.924
_cell_angle_alpha 90.00
_cell_angle_beta 90.00
_cell_angle_gamma 90.00
loop_
_symmetry_equiv_pos_as_xyz
'x,y,z'
'-x,-y,-z'
'-x+1/2,-y,z+1/2'
'x+1/2,y,-z+1/2'
'x+1/2,-y+1/2,-z'
'-x+1/2,y+1/2,z'
'-x,y+1/2,-z+1/2'
'x,-y+1/2,z+1/2'
loop_
_atom_site_label
_atom_site_type_symbol
_atom_site_fract_x
_atom_site_fract_y
_atom_site_fract_z
_atom_site_occupancy
Rb1 Rb 0.227 0.191 0.102 1
V1 V 0.025 0.548 0.756 1
P1 P 0.205 0.112 0.900 1
H1 H 0.219 0.100 0.449 1
O1 O 0.033 0.121 0.270 1
O2 O 0.036 0.054 0.851 1
O3 O 0.105 0.625 0.853 1
O4 O 0.151 0.248 0.939 1
O5 O 0.221 0.099 0.724 1
O6 O 0.242 0.000 0.964 1
```

## Properties
- energy of formation from the pure elements (eV per atom) = -2.38
- total magnetization (μB/cell) = 0.000

Na2FeNiF7: optimized geometry, GGA+U.

Geometry as CIF:
```
data_Na2FeNiF7
_chemical_formula_sum 'Na8 Fe4 Ni4 F28'
_symmetry_space_group_name_H-M 'I m m 2'
_symmetry_Int_Tables_number 44
_cell_length_a 7.302
_cell_length_b 10.432
_cell_length_c 7.565
_cell_angle_alpha 90.00
_cell_angle_beta 90.00
_cell_angle_gamma 90.00
loop_
_symmetry_equiv_pos_as_xyz
'x,y,z'
'-x,-y,z'
'-x,y,z'
'x,-y,z'
'x+1/2,y+1/2,z+1/2'
'-x+1/2,-y+1/2,z+1/2'
'-x+1/2,y+1/2,z+1/2'
'x+1/2,-y+1/2,z+1/2'
loop_
_atom_site_label
_atom_site_type_symbol
_atom_site_fract_x
_atom_site_fract_y
_atom_site_fract_z
_atom_site_occupancy
Na1 Na 0.000 0.246 0.000 1
Na2 Na 0.250 0.000 0.259 1
Fe1 Fe 0.000 0.250 0.501 1
Ni1 Ni 0.249 0.500 0.251 1
F1 F 0.000 0.000 0.852 1
F2 F 0.000 0.157 0.272 1
F3 F 0.000 0.341 0.731 1
F4 F 0.000 0.500 0.148 1
F5 F 0.199 0.134 0.565 1
F6 F 0.199 0.365 0.436 1
```

## Properties
- piezoelectric modulus e_max (C/m2) = 6.65
- energy of formation from the pure elements (eV per atom) = -2.71
- total magnetization (μB/cell) = 28.000

Li9Mn2Co5O16: optimized geometry, GGA+U.

Geometry as CIF:
```
data_Li9Mn2Co5O16
_chemical_formula_sum 'Li9 Mn2 Co5 O16'
_symmetry_space_group_name_H-M 'P 1'
_symmetry_Int_Tables_number 1
_cell_length_a 5.784
_cell_length_b 5.842
_cell_length_c 9.754
_cell_angle_alpha 98.38
_cell_angle_beta 90.04
_cell_angle_gamma 119.46
loop_
_symmetry_equiv_pos_as_xyz
'x,y,z'
loop_
_atom_site_label
_atom_site_type_symbol
_atom_site_fract_x
_atom_site_fract_y
_atom_site_fract_z
_atom_site_occupancy
Li1 Li 0.000 0.000 0.000 1
Li2 Li 0.001 0.498 0.001 1
Li3 Li 0.244 0.001 0.512 1
Li4 Li 0.253 0.504 0.514 1
Li5 Li 0.499 0.997 0.004 1
Li6 Li 0.510 0.513 0.000 1
Li7 Li 0.623 0.750 0.755 1
Li8 Li 0.740 0.988 0.509 1
Li9 Li 0.741 0.497 0.505 1
Mn1 Mn 0.623 0.249 0.755 1
Mn2 Mn 0.872 0.249 0.256 1
Co1 Co 0.122 0.249 0.756 1
Co2 Co 0.122 0.749 0.756 1
Co3 Co 0.371 0.749 0.256 1
Co4 Co 0.372 0.250 0.255 1
Co5 Co 0.874 0.749 0.255 1
O1 O 0.037 0.601 0.371 1
O2 O 0.047 0.123 0.370 1
O3 O 0.170 0.370 0.141 1
O4 O 0.195 0.896 0.138 1
O5 O 0.281 0.599 0.859 1
O6 O 0.329 0.158 0.873 1
O7 O 0.421 0.358 0.646 1
O8 O 0.425 0.890 0.649 1
O9 O 0.552 0.605 0.374 1
O10 O 0.574 0.129 0.371 1
O11 O 0.698 0.374 0.141 1
O12 O 0.705 0.894 0.139 1
O13 O 0.818 0.608 0.862 1
O14 O 0.822 0.140 0.864 1
O15 O 0.918 0.342 0.640 1
O16 O 0.965 0.900 0.653 1
```

## Properties
- energy of formation from the pure elements (eV per atom) = -1.83
- ΔE to the lowest computed polymorph (eV/f.u.) = 0.95
- total magnetization (μB/cell) = 10.000